Compound: Dy2Al3Cu
Source: Materials Project
Functional: PBE
Structure: optimized geometry

Geometry as POSCAR:
```
Dy2Al3Cu
1.0
2.775 1.602 4.385
-2.775 1.602 4.385
0.000 -3.204 4.385
Dy Al Cu
2 3 1
direct
0.124 0.124 0.124 Dy
0.876 0.876 0.876 Dy
0.000 0.500 0.500 Al
0.500 0.000 0.500 Al
0.500 0.500 0.000 Al
0.500 0.500 0.500 Cu
```

Calculated values
* crystal system: trigonal
* space-group type: No. 166
* ΔE_f: -466 meV/atom

Compound: DyAl8Cu4
Source: Materials Project
Functional: PBE
Structure: optimized geometry

Geometry as POSCAR:
```
DyAl8Cu4
1.0
-4.404 4.404 2.570
4.404 -4.404 2.570
4.404 4.404 -2.570
Dy Al Cu
1 8 4
direct
0.000 0.000 0.000 Dy
0.000 0.348 0.348 Al
0.000 0.652 0.652 Al
0.281 0.500 0.781 Al
0.348 0.000 0.348 Al
0.500 0.281 0.781 Al
0.500 0.719 0.219 Al
0.652 0.000 0.652 Al
0.719 0.500 0.219 Al
0.000 0.000 0.500 Cu
0.000 0.500 0.000 Cu
0.500 0.000 0.000 Cu
0.500 0.500 0.500 Cu
```

Calculated values
* crystal system: tetragonal
* space-group type: No. 139
* ΔE_f: -311 meV/atom

Compound: DyAlCu
Source: Materials Project
Functional: PBE
Structure: optimized geometry

Geometry as POSCAR:
```
DyAlCu
1.0
-2.714 2.719 3.742
2.714 -2.719 3.742
2.714 2.719 -3.742
Dy Al Cu
2 2 2
direct
0.377 0.127 0.250 Dy
0.623 0.873 0.750 Dy
0.000 0.000 0.500 Al
0.000 0.500 0.000 Al
0.000 0.500 0.500 Cu
0.500 0.500 0.000 Cu
```

Calculated values
* crystal system: orthorhombic
* space-group type: No. 74
* ΔE_f: -385 meV/atom

E_tot values, unit eV per atom, following the record order: -4.558; -4.231; -4.535.